A plane-wave DFT calculation with PBE-GGA was carried out for a relaxed Dy3GaC crystal.

Computed properties:
VASP energy: -4.03 eV per atom

Cell lengths 5.301, 5.301, 5.301 Å; angles 90.00, 90.00, 90.00 degrees
Atoms (fractional coordinates):
Ga  0.500  0.500  0.500
Dy  0.000  0.500  0.500
Dy  0.500  0.000  0.500
Dy  0.500  0.500  0.000
C  0.000  0.000  0.000

***

A plane-wave DFT calculation with PBE-GGA was carried out for a relaxed Dy5Ge3C crystal.

Computed properties:
VASP energy: -5.85 eV per atom

Cell lengths 6.442, 8.519, 8.540 Å; angles 119.92, 90.00, 90.00 degrees
Atoms (fractional coordinates):
Dy  0.000  0.333  0.666
Dy  0.000  0.667  0.334
Dy  0.500  0.333  0.666
Dy  0.750  0.778  0.777
Dy  0.750  0.221  0.000
Dy  0.250  0.779  0.000
Dy  0.500  0.667  0.334
Dy  0.250  0.222  0.223
Dy  0.750  0.001  0.223
Dy  0.250  0.999  0.777
Ge  0.250  0.593  0.593
Ge  0.249  0.408  0.000
Ge  0.750  0.407  0.407
Ge  0.250  0.000  0.407
Ge  0.750  0.000  0.593
Ge  0.749  0.592  0.000
C  0.000  0.000  0.000
C  0.500  0.000  0.000

***

A plane-wave DFT calculation with PBE-GGA was carried out for a relaxed DyH2C2SNO9 crystal.

Computed properties:
VASP energy: -6.55 eV per atom

Cell lengths 8.702, 6.609, 15.197 Å; angles 66.97, 90.00, 90.00 degrees
Atoms (fractional coordinates):
O  0.617  0.265  0.282
O  0.500  0.264  0.488
O  0.555  0.210  0.830
O  0.708  0.670  0.627
O  0.104  0.347  0.198
O  0.270  0.040  0.533
O  0.896  0.653  0.802
O  0.770  0.960  0.967
O  0.071  0.802  0.472
O  0.396  0.347  0.698
O  0.500  0.736  0.512
O  0.292  0.330  0.373
O  0.061  0.393  0.660
O  0.883  0.265  0.782
O  0.792  0.670  0.127
O  0.571  0.198  0.028
O  0.256  0.417  0.514
O  0.561  0.607  0.840
O  0.730  0.960  0.467
O  0.000  0.736  0.012
O  0.230  0.040  0.033
O  0.000  0.264  0.988
O  0.604  0.653  0.302
O  0.445  0.790  0.170
O  0.756  0.583  0.986
O  0.429  0.802  0.972
O  0.744  0.583  0.486
O  0.929  0.198  0.528
O  0.383  0.735  0.718
O  0.208  0.330  0.873
O  0.117  0.735  0.218
O  0.244  0.417  0.014
O  0.439  0.393  0.160
O  0.939  0.607  0.340
O  0.055  0.790  0.670
O  0.945  0.210  0.330
Dy  0.769  0.331  0.917
Dy  0.731  0.331  0.417
Dy  0.269  0.669  0.583
Dy  0.231  0.669  0.083
N  0.164  0.954  0.813
N  0.336  0.954  0.313
N  0.664  0.046  0.687
N  0.836  0.046  0.187
H  0.942  0.043  0.568
H  0.558  0.043  0.068
H  0.977  0.728  0.463
H  0.477  0.272  0.037
H  0.442  0.957  0.932
H  0.523  0.728  0.963
H  0.023  0.272  0.537
H  0.058  0.957  0.432
C  0.975  0.662  0.734
C  0.473  0.612  0.776
C  0.025  0.338  0.266
C  0.527  0.388  0.224
C  0.475  0.338  0.766
C  0.973  0.388  0.724
C  0.027  0.612  0.276
C  0.525  0.662  0.234
S  0.670  0.736  0.526
S  0.330  0.264  0.474
S  0.170  0.264  0.974
S  0.830  0.736  0.026